A relaxed structure of Pr2Te5, computed with GGA-PBE.

Properties
Crystal system   orthorhombic
Formation energy   -1.3893 eV/atom
Final energy   -4.699 eV per atom
ρ   6.80 g cm⁻³

Cell lengths 22.6524, 22.6524, 4.4648 Å; angles 90.00, 90.00, 168.69 degrees
Fractional positions:
Te  0.9586  0.0414  0.2500
Te  0.0414  0.9586  0.7500
Te  0.5418  0.4582  0.2500
Te  0.3802  0.6198  0.2500
Te  0.6198  0.3802  0.7500
Te  0.4582  0.5418  0.7500
Te  0.8274  0.1726  0.7500
Te  0.1726  0.8274  0.2500
Te  0.7500  0.2500  0.2500
Te  0.2500  0.7500  0.7500
Pr  0.3068  0.6932  0.2500
Pr  0.0977  0.9023  0.2500
Pr  0.6932  0.3068  0.7500
Pr  0.9023  0.0977  0.7500

=====

A relaxed structure of PrTe3, computed with GGA-PBE.

Properties
Crystal system   orthorhombic
Formation energy   -1.3260 eV/atom
Final energy   -4.562 eV per atom
ρ   6.48 g cm⁻³

Cell lengths 14.0048, 14.0048, 4.4074 Å; angles 90.00, 90.00, 161.90 degrees
Fractional positions:
Pr  0.6718  0.3282  0.7500
Pr  0.3282  0.6718  0.2500
Te  0.7928  0.2072  0.7500
Te  0.2072  0.7928  0.2500
Te  0.4220  0.5780  0.7500
Te  0.5780  0.4220  0.2500
Te  0.9219  0.0781  0.2500
Te  0.0781  0.9219  0.7500

=====

A relaxed structure of Pr3Te4, computed with GGA-PBE.

Properties
Crystal system   cubic
Formation energy   -1.6864 eV/atom
Final energy   -5.290 eV per atom
ρ   7.00 g cm⁻³

Cell lengths 8.3156, 8.3156, 8.3156 Å; angles 109.47, 109.47, 109.47 degrees
Fractional positions:
Te  0.3490  0.3490  0.3490
Te  0.0000  0.6510  0.5000
Te  0.5000  0.0000  0.1510
Te  0.1510  0.5000  0.0000
Te  0.6510  0.5000  0.0000
Te  0.0000  0.1510  0.5000
Te  0.8490  0.8490  0.8490
Te  0.5000  0.0000  0.6510
Pr  0.3750  0.6250  0.7500
Pr  0.8750  0.2500  0.1250
Pr  0.1250  0.8750  0.2500
Pr  0.7500  0.3750  0.6250
Pr  0.2500  0.1250  0.8750
Pr  0.6250  0.7500  0.3750

=====

A relaxed structure of Pr2Te3, computed with GGA-PBE.

Properties
Crystal system   tetragonal
Formation energy   -1.7117 eV/atom
Final energy   -5.257 eV per atom
ρ   6.65 g cm⁻³

Cell lengths 15.9416, 15.9416, 15.9416 Å; angles 144.99, 144.99, 50.35 degrees
Fractional positions:
Te  0.1771  0.9249  0.8977
Te  0.3922  0.9902  0.7474
Te  0.0751  0.9728  0.2522
Te  0.0652  0.6580  0.7546
Te  0.4080  0.3152  0.2546
Te  0.5072  0.2598  0.9020
Te  0.2428  0.6448  0.2526
Te  0.3578  0.6052  0.0980
Te  0.0294  0.2772  0.6023
Te  0.3420  0.0966  0.4072
Te  0.7206  0.8229  0.7478
Te  0.7228  0.3251  0.7522
Te  0.9034  0.3106  0.2454
Te  0.0098  0.7572  0.4020
Te  0.0272  0.2794  0.1023
Te  0.6749  0.4271  0.3977
Te  0.0606  0.1534  0.7454
Te  0.3948  0.4928  0.7526
Te  0.3552  0.6078  0.5980
Te  0.8466  0.5920  0.9072
Te  0.5729  0.9706  0.2478
Te  0.6894  0.9348  0.5928
Te  0.6848  0.9394  0.0928
Te  0.7402  0.6422  0.2474
Pr  0.3750  0.2445  0.3695
Pr  0.0348  0.9206  0.3741
Pr  0.4178  0.9178  0.5000
Pr  0.2035  0.3294  0.6142
Pr  0.6706  0.2848  0.8741
Pr  0.3393  0.9652  0.8858
Pr  0.3322  0.3322  0.0000
Pr  0.7152  0.5893  0.3858
Pr  0.4107  0.7965  0.1259
Pr  0.7555  0.1250  0.1305
Pr  0.0822  0.5822  0.5000
Pr  0.0794  0.4535  0.1142
Pr  0.8750  0.0055  0.6305
Pr  0.6678  0.6678  0.0000
Pr  0.5465  0.6607  0.6259
Pr  0.9945  0.6250  0.8695

=====

A relaxed structure of PrTlTe2, computed with GGA-PBE.

Properties
Crystal system   trigonal
Formation energy   -1.2887 eV/atom
Final energy   -4.435 eV per atom
ρ   6.60 g cm⁻³

Cell lengths 4.6059, 4.6059, 8.6433 Å; angles 74.55, 74.55, 60.00 degrees
Fractional positions:
Pr  0.0000  0.0000  0.0000
Te  0.7400  0.7400  0.7799
Te  0.2600  0.2600  0.2201
Tl  0.5000  0.5000  0.5000

=====

A relaxed structure of Pr3Th, computed with GGA-PBE.

Properties
Crystal system   tetragonal
Formation energy   0.0827 eV/atom
Final energy   -5.356 eV per atom
ρ   7.72 g cm⁻³

Cell lengths 6.3803, 6.3803, 6.3803 Å; angles 131.92, 131.92, 70.35 degrees
Fractional positions:
Pr  0.7500  0.2500  0.5000
Pr  0.2500  0.7500  0.5000
Pr  0.5000  0.5000  0.0000
Th  0.0000  0.0000  0.0000

=====

A relaxed structure of PrTh, computed with GGA-PBE.

Properties
Crystal system   trigonal
Formation energy   0.0521 eV/atom
Final energy   -6.045 eV per atom
ρ   9.15 g cm⁻³

Cell lengths 6.3666, 6.3666, 6.3666 Å; angles 32.88, 32.88, 32.88 degrees
Fractional positions:
Th  0.5000  0.5000  0.5000
Pr  0.0000  0.0000  0.0000

=====

A relaxed structure of Pr3Ti, computed with GGA-PBE.

Properties
Crystal system   cubic
Formation energy   0.2670 eV/atom
Final energy   -5.293 eV per atom
ρ   6.37 g cm⁻³

Cell lengths 4.9699, 4.9699, 4.9699 Å; angles 90.00, 90.00, 90.00 degrees
Fractional positions:
Pr  0.0000  0.5000  0.5000
Pr  0.5000  0.0000  0.5000
Pr  0.5000  0.5000  0.0000
Ti  0.0000  0.0000  0.0000